{"formula": "Cd5P3O13", "functional": "GGA-PBE", "state": "optimized geometry", "formation_energy_ev_per_atom": -2.105, "corrected_energy_ev_per_atom": -6.1607, "magnetic_moment_mub_per_cell": 2.00, "volume_a3_per_atom": 12.63, "lattice_angstrom": [[9.562, 0.000, 0.000], [-4.781, 8.281, 0.000], [0.000, 0.000, 6.697]], "species": ["Cd", "Cd", "Cd", "Cd", "Cd", "Cd", "Cd", "Cd", "Cd", "Cd", "P", "P", "P", "P", "P", "P", "O", "O", "O", "O", "O", "O", "O", "O", "O", "O", "O", "O", "O", "O", "O", "O", "O", "O", "O", "O", "O", "O", "O", "O", "O", "O"], "frac_coords": [[0.003, 0.245, 0.000], [0.242, 0.997, 0.000], [0.245, 0.242, 0.500], [0.333, 0.667, 0.249], [0.333, 0.667, 0.746], [0.667, 0.333, 0.246], [0.667, 0.333, 0.749], [0.755, 0.758, 0.000], [0.758, 0.003, 0.500], [0.997, 0.755, 0.500], [0.025, 0.630, 0.000], [0.370, 0.395, 0.000], [0.395, 0.025, 0.500], [0.605, 0.975, 0.000], [0.630, 0.605, 0.500], [0.975, 0.370, 0.500], [0.000, 0.000, 0.006], [0.000, 0.000, 0.506], [0.078, 0.745, 0.816], [0.080, 0.740, 0.187], [0.122, 0.537, 0.995], [0.160, 0.489, 0.499], [0.255, 0.333, 0.816], [0.260, 0.340, 0.187], [0.329, 0.840, 0.499], [0.333, 0.078, 0.316], [0.340, 0.080, 0.687], [0.415, 0.878, 0.995], [0.463, 0.585, 0.995], [0.489, 0.329, 0.999], [0.511, 0.671, 0.499], [0.537, 0.415, 0.495], [0.585, 0.122, 0.495], [0.660, 0.920, 0.187], [0.667, 0.922, 0.816], [0.671, 0.160, 0.999], [0.740, 0.660, 0.687], [0.745, 0.667, 0.316], [0.840, 0.511, 0.999], [0.878, 0.463, 0.495], [0.920, 0.260, 0.687], [0.922, 0.255, 0.316]]}



{"formula": "Cd2P2O7", "functional": "GGA-PBE", "state": "optimized geometry", "formation_energy_ev_per_atom": -2.348, "corrected_energy_ev_per_atom": -6.6484, "volume_a3_per_atom": 12.93, "lattice_angstrom": [[6.697, 0.000, 0.000], [0.995, 6.739, 0.000], [2.916, 0.415, 6.301]], "species": ["Cd", "Cd", "Cd", "Cd", "P", "P", "P", "P", "O", "O", "O", "O", "O", "O", "O", "O", "O", "O", "O", "O", "O", "O"], "frac_coords": [[0.116, 0.165, 0.251], [0.284, 0.347, 0.649], [0.716, 0.653, 0.351], [0.884, 0.835, 0.749], [0.231, 0.662, 0.251], [0.358, 0.865, 0.817], [0.642, 0.135, 0.183], [0.769, 0.338, 0.749], [0.070, 0.838, 0.364], [0.091, 0.511, 0.230], [0.209, 0.751, 0.768], [0.261, 0.079, 0.887], [0.389, 0.570, 0.353], [0.396, 0.745, 0.020], [0.404, 0.140, 0.356], [0.596, 0.860, 0.644], [0.604, 0.255, 0.980], [0.611, 0.430, 0.647], [0.739, 0.921, 0.113], [0.791, 0.249, 0.232], [0.909, 0.489, 0.770], [0.930, 0.162, 0.636]]}



{"formula": "Cd5P4O20", "functional": "GGA-PBE", "state": "optimized geometry", "formation_energy_ev_per_atom": -1.595, "corrected_energy_ev_per_atom": -5.9128, "magnetic_moment_mub_per_cell": 20.00, "volume_a3_per_atom": 14.08, "lattice_angstrom": [[9.110, -4.594, 0.000], [9.110, 4.594, 0.000], [-0.872, 0.000, 9.754]], "species": ["Cd", "Cd", "Cd", "Cd", "Cd", "Cd", "Cd", "Cd", "Cd", "Cd", "P", "P", "P", "P", "P", "P", "P", "P", "O", "O", "O", "O", "O", "O", "O", "O", "O", "O", "O", "O", "O", "O", "O", "O", "O", "O", "O", "O", "O", "O", "O", "O", "O", "O", "O", "O", "O", "O", "O", "O", "O", "O", "O", "O", "O", "O", "O", "O"], "frac_coords": [[0.130, 0.870, 0.750], [0.160, 0.189, 0.869], [0.189, 0.160, 0.369], [0.265, 0.408, 0.188], [0.408, 0.265, 0.688], [0.592, 0.735, 0.312], [0.735, 0.592, 0.812], [0.811, 0.840, 0.631], [0.840, 0.811, 0.131], [0.870, 0.130, 0.250], [0.097, 0.574, 0.877], [0.105, 0.731, 0.408], [0.269, 0.895, 0.092], [0.426, 0.903, 0.623], [0.574, 0.097, 0.377], [0.731, 0.105, 0.908], [0.895, 0.269, 0.592], [0.903, 0.426, 0.123], [0.008, 0.147, 0.705], [0.031, 0.805, 0.550], [0.079, 0.336, 0.188], [0.085, 0.601, 0.035], [0.124, 0.569, 0.374], [0.147, 0.008, 0.205], [0.186, 0.636, 0.818], [0.194, 0.345, 0.525], [0.195, 0.969, 0.950], [0.199, 0.386, 0.841], [0.275, 0.696, 0.407], [0.304, 0.725, 0.093], [0.336, 0.079, 0.688], [0.345, 0.194, 0.025], [0.364, 0.814, 0.682], [0.386, 0.199, 0.341], [0.399, 0.915, 0.465], [0.414, 0.488, 0.690], [0.431, 0.876, 0.126], [0.488, 0.414, 0.190], [0.512, 0.586, 0.810], [0.569, 0.124, 0.874], [0.586, 0.512, 0.310], [0.601, 0.085, 0.535], [0.614, 0.801, 0.659], [0.636, 0.186, 0.318], [0.655, 0.806, 0.975], [0.664, 0.921, 0.312], [0.696, 0.275, 0.907], [0.725, 0.304, 0.593], [0.801, 0.614, 0.159], [0.805, 0.031, 0.050], [0.806, 0.655, 0.475], [0.814, 0.364, 0.182], [0.853, 0.992, 0.795], [0.876, 0.431, 0.626], [0.915, 0.399, 0.965], [0.921, 0.664, 0.812], [0.969, 0.195, 0.450], [0.992, 0.853, 0.295]]}



{"formula": "Cd5SiP2O12", "functional": "GGA-PBE", "state": "optimized geometry", "formation_energy_ev_per_atom": -2.230, "corrected_energy_ev_per_atom": -6.2419, "magnetic_moment_mub_per_cell": 0.00, "volume_a3_per_atom": 13.39, "lattice_angstrom": [[6.836, 0.000, 0.000], [0.000, 10.322, 0.000], [0.000, 0.000, 15.176]], "species": ["Cd", "Cd", "Cd", "Cd", "Cd", "Cd", "Cd", "Cd", "Cd", "Cd", "Cd", "Cd", "Cd", "Cd", "Cd", "Cd", "Cd", "Cd", "Cd", "Cd", "Si", "Si", "Si", "Si", "P", "P", "P", "P", "P", "P", "P", "P", "O", "O", "O", "O", "O", "O", "O", "O", "O", "O", "O", "O", "O", "O", "O", "O", "O", "O", "O", "O", "O", "O", "O", "O", "O", "O", "O", "O", "O", "O", "O", "O", "O", "O", "O", "O", "O", "O", "O", "O", "O", "O", "O", "O", "O", "O", "O", "O"], "frac_coords": [[0.085, 0.160, 0.358], [0.101, 0.164, 0.641], [0.105, 0.552, 0.659], [0.106, 0.560, 0.338], [0.198, 0.217, 0.998], [0.302, 0.783, 0.498], [0.394, 0.440, 0.838], [0.395, 0.448, 0.159], [0.399, 0.836, 0.141], [0.415, 0.840, 0.858], [0.585, 0.340, 0.642], [0.601, 0.336, 0.359], [0.605, 0.948, 0.341], [0.606, 0.940, 0.662], [0.698, 0.283, 0.002], [0.802, 0.717, 0.502], [0.894, 0.060, 0.162], [0.895, 0.052, 0.841], [0.899, 0.664, 0.859], [0.915, 0.660, 0.142], [0.102, 0.867, 0.321], [0.398, 0.133, 0.821], [0.602, 0.633, 0.679], [0.898, 0.367, 0.179], [0.104, 0.868, 0.678], [0.243, 0.587, 0.998], [0.257, 0.413, 0.498], [0.396, 0.132, 0.178], [0.604, 0.632, 0.322], [0.743, 0.913, 0.002], [0.757, 0.087, 0.502], [0.896, 0.368, 0.822], [0.018, 0.610, 0.998], [0.042, 0.763, 0.401], [0.044, 0.770, 0.604], [0.066, 0.468, 0.803], [0.076, 0.473, 0.199], [0.154, 0.777, 0.235], [0.154, 0.785, 0.760], [0.167, 0.356, 0.583], [0.168, 0.357, 0.411], [0.203, 0.560, 0.500], [0.218, 0.045, 0.863], [0.226, 0.048, 0.142], [0.274, 0.952, 0.642], [0.282, 0.955, 0.363], [0.297, 0.440, 0.000], [0.332, 0.643, 0.911], [0.333, 0.644, 0.083], [0.346, 0.215, 0.260], [0.346, 0.223, 0.735], [0.424, 0.527, 0.699], [0.434, 0.532, 0.303], [0.456, 0.230, 0.104], [0.458, 0.237, 0.901], [0.482, 0.390, 0.498], [0.518, 0.890, 0.002], [0.542, 0.737, 0.599], [0.544, 0.730, 0.396], [0.566, 0.032, 0.197], [0.576, 0.027, 0.801], [0.654, 0.715, 0.240], [0.654, 0.723, 0.765], [0.667, 0.144, 0.417], [0.668, 0.143, 0.589], [0.703, 0.940, 0.500], [0.718, 0.455, 0.137], [0.726, 0.452, 0.858], [0.774, 0.548, 0.358], [0.782, 0.545, 0.637], [0.797, 0.060, 0.000], [0.832, 0.857, 0.089], [0.833, 0.856, 0.917], [0.846, 0.277, 0.265], [0.846, 0.285, 0.740], [0.924, 0.973, 0.301], [0.934, 0.968, 0.697], [0.956, 0.270, 0.896], [0.958, 0.263, 0.099], [0.982, 0.110, 0.502]]}



{"formula": "Cd5Si2PO12", "functional": "GGA-PBE", "state": "optimized geometry", "formation_energy_ev_per_atom": -2.175, "corrected_energy_ev_per_atom": -6.1873, "magnetic_moment_mub_per_cell": 4.00, "volume_a3_per_atom": 13.42, "lattice_angstrom": [[6.807, 0.000, 0.000], [0.000, 15.258, 0.000], [0.000, 0.000, 10.341]], "species": ["Cd", "Cd", "Cd", "Cd", "Cd", "Cd", "Cd", "Cd", "Cd", "Cd", "Cd", "Cd", "Cd", "Cd", "Cd", "Cd", "Cd", "Cd", "Cd", "Cd", "Si", "Si", "Si", "Si", "Si", "Si", "Si", "Si", "P", "P", "P", "P", "O", "O", "O", "O", "O", "O", "O", "O", "O", "O", "O", "O", "O", "O", "O", "O", "O", "O", "O", "O", "O", "O", "O", "O", "O", "O", "O", "O", "O", "O", "O", "O", "O", "O", "O", "O", "O", "O", "O", "O", "O", "O", "O", "O", "O", "O", "O", "O"], "frac_coords": [[0.050, 0.250, 0.216], [0.144, 0.589, 0.556], [0.144, 0.911, 0.556], [0.158, 0.608, 0.163], [0.158, 0.892, 0.163], [0.342, 0.108, 0.663], [0.342, 0.392, 0.663], [0.356, 0.089, 0.056], [0.356, 0.411, 0.056], [0.450, 0.750, 0.716], [0.550, 0.250, 0.284], [0.644, 0.589, 0.944], [0.644, 0.911, 0.944], [0.658, 0.608, 0.337], [0.658, 0.892, 0.337], [0.842, 0.108, 0.837], [0.842, 0.392, 0.837], [0.856, 0.089, 0.444], [0.856, 0.411, 0.444], [0.950, 0.750, 0.784], [0.148, 0.571, 0.867], [0.148, 0.929, 0.867], [0.352, 0.071, 0.367], [0.352, 0.429, 0.367], [0.648, 0.571, 0.633], [0.648, 0.929, 0.633], [0.852, 0.071, 0.133], [0.852, 0.429, 0.133], [0.007, 0.250, 0.587], [0.493, 0.750, 0.087], [0.507, 0.250, 0.913], [0.993, 0.750, 0.413], [0.032, 0.112, 0.043], [0.032, 0.388, 0.043], [0.046, 0.750, 0.559], [0.083, 0.665, 0.356], [0.083, 0.835, 0.356], [0.094, 0.015, 0.779], [0.094, 0.485, 0.779], [0.177, 0.051, 0.475], [0.177, 0.449, 0.475], [0.207, 0.650, 0.764], [0.207, 0.850, 0.764], [0.234, 0.250, 0.610], [0.266, 0.750, 0.110], [0.293, 0.150, 0.264], [0.293, 0.350, 0.264], [0.323, 0.551, 0.975], [0.323, 0.949, 0.975], [0.406, 0.515, 0.279], [0.406, 0.985, 0.279], [0.417, 0.165, 0.856], [0.417, 0.335, 0.856], [0.454, 0.250, 0.059], [0.468, 0.612, 0.543], [0.468, 0.888, 0.543], [0.532, 0.112, 0.457], [0.532, 0.388, 0.457], [0.546, 0.750, 0.941], [0.583, 0.665, 0.144], [0.583, 0.835, 0.144], [0.594, 0.015, 0.721], [0.594, 0.485, 0.721], [0.677, 0.051, 0.025], [0.677, 0.449, 0.025], [0.707, 0.650, 0.736], [0.707, 0.850, 0.736], [0.734, 0.250, 0.890], [0.766, 0.750, 0.390], [0.793, 0.150, 0.236], [0.793, 0.350, 0.236], [0.823, 0.551, 0.525], [0.823, 0.949, 0.525], [0.906, 0.515, 0.221], [0.906, 0.985, 0.221], [0.917, 0.165, 0.644], [0.917, 0.335, 0.644], [0.954, 0.250, 0.441], [0.968, 0.612, 0.957], [0.968, 0.888, 0.957]]}



{"formula": "SrCdP4O12", "functional": "GGA-PBE", "state": "optimized geometry", "formation_energy_ev_per_atom": -2.715, "corrected_energy_ev_per_atom": -7.3619, "magnetic_moment_mub_per_cell": 0.00, "volume_a3_per_atom": 13.84, "lattice_angstrom": [[7.199, 0.000, 0.000], [0.000, 9.206, 0.000], [-6.915, 0.000, 15.035]], "species": ["Sr", "Sr", "Sr", "Sr", "Cd", "Cd", "Cd", "Cd", "P", "P", "P", "P", "P", "P", "P", "P", "P", "P", "P", "P", "P", "P", "P", "P", "O", "O", "O", "O", "O", "O", "O", "O", "O", "O", "O", "O", "O", "O", "O", "O", "O", "O", "O", "O", "O", "O", "O", "O", "O", "O", "O", "O", "O", "O", "O", "O", "O", "O", "O", "O", "O", "O", "O", "O", "O", "O", "O", "O", "O", "O", "O", "O"], "frac_coords": [[0.152, 0.105, 0.136], [0.152, 0.395, 0.636], [0.848, 0.605, 0.364], [0.848, 0.895, 0.864], [0.345, 0.741, 0.846], [0.345, 0.759, 0.346], [0.655, 0.241, 0.654], [0.655, 0.259, 0.154], [0.087, 0.098, 0.320], [0.087, 0.402, 0.820], [0.277, 0.743, 0.546], [0.277, 0.757, 0.046], [0.304, 0.161, 0.939], [0.304, 0.339, 0.439], [0.310, 0.512, 0.175], [0.310, 0.988, 0.675], [0.690, 0.012, 0.325], [0.690, 0.488, 0.825], [0.696, 0.661, 0.561], [0.696, 0.839, 0.061], [0.723, 0.243, 0.954], [0.723, 0.257, 0.454], [0.913, 0.598, 0.180], [0.913, 0.902, 0.680], [0.011, 0.704, 0.256], [0.011, 0.796, 0.756], [0.075, 0.504, 0.160], [0.075, 0.996, 0.660], [0.153, 0.645, 0.576], [0.153, 0.855, 0.076], [0.176, 0.041, 0.883], [0.176, 0.459, 0.383], [0.194, 0.181, 0.413], [0.194, 0.319, 0.913], [0.199, 0.735, 0.947], [0.199, 0.765, 0.447], [0.237, 0.503, 0.806], [0.237, 0.997, 0.306], [0.299, 0.596, 0.088], [0.299, 0.904, 0.588], [0.363, 0.143, 0.666], [0.363, 0.357, 0.166], [0.378, 0.150, 0.039], [0.378, 0.350, 0.539], [0.437, 0.594, 0.259], [0.437, 0.906, 0.759], [0.492, 0.184, 0.911], [0.492, 0.316, 0.411], [0.508, 0.684, 0.589], [0.508, 0.816, 0.089], [0.563, 0.094, 0.241], [0.563, 0.406, 0.741], [0.622, 0.650, 0.461], [0.622, 0.850, 0.961], [0.637, 0.643, 0.834], [0.637, 0.857, 0.334], [0.701, 0.096, 0.412], [0.701, 0.404, 0.912], [0.763, 0.003, 0.694], [0.763, 0.497, 0.194], [0.801, 0.235, 0.553], [0.801, 0.265, 0.053], [0.806, 0.681, 0.087], [0.806, 0.819, 0.587], [0.824, 0.541, 0.617], [0.824, 0.959, 0.117], [0.847, 0.145, 0.924], [0.847, 0.355, 0.424], [0.925, 0.004, 0.340], [0.925, 0.496, 0.840], [0.989, 0.204, 0.244], [0.989, 0.296, 0.744]]}



{"formula": "CdPbO3", "functional": "GGA-PBE", "state": "optimized geometry", "formation_energy_ev_per_atom": -1.383, "corrected_energy_ev_per_atom": -5.2784, "volume_a3_per_atom": 15.09, "lattice_angstrom": [[-5.273, 5.280, 5.418], [5.273, -5.280, 5.418], [5.273, 5.280, -5.418]], "species": ["Cd", "Cd", "Cd", "Cd", "Cd", "Cd", "Cd", "Cd", "Pb", "Pb", "Pb", "Pb", "Pb", "Pb", "Pb", "Pb", "O", "O", "O", "O", "O", "O", "O", "O", "O", "O", "O", "O", "O", "O", "O", "O", "O", "O", "O", "O", "O", "O", "O", "O"], "frac_coords": [[0.000, 0.000, 0.000], [0.000, 0.500, 0.500], [0.215, 0.250, 0.465], [0.285, 0.750, 0.035], [0.500, 0.000, 0.500], [0.500, 0.500, 0.000], [0.715, 0.250, 0.965], [0.785, 0.750, 0.535], [0.035, 0.285, 0.750], [0.250, 0.037, 0.787], [0.250, 0.537, 0.287], [0.465, 0.215, 0.250], [0.535, 0.785, 0.750], [0.750, 0.463, 0.713], [0.750, 0.963, 0.213], [0.965, 0.715, 0.250], [0.000, 0.047, 0.767], [0.000, 0.953, 0.233], [0.030, 0.537, 0.771], [0.050, 0.782, 0.537], [0.220, 0.766, 0.267], [0.234, 0.963, 0.993], [0.245, 0.282, 0.231], [0.255, 0.487, 0.037], [0.266, 0.259, 0.729], [0.280, 0.547, 0.546], [0.450, 0.987, 0.731], [0.470, 0.241, 0.507], [0.500, 0.266, 0.046], [0.500, 0.734, 0.954], [0.530, 0.759, 0.493], [0.550, 0.013, 0.269], [0.720, 0.453, 0.454], [0.734, 0.741, 0.271], [0.745, 0.513, 0.963], [0.755, 0.718, 0.769], [0.766, 0.037, 0.007], [0.780, 0.234, 0.733], [0.950, 0.218, 0.463], [0.970, 0.463, 0.229]]}